# Fe3W

Crystalline Fe3W at its relaxed geometry (r²SCAN, the Materials Project database).

Properties
The space group is Pm-3m.

POSCAR file:
```
Fe3W
1.0
-1.903 2.978 0.845
-2.749 -2.082 1.145
1.422 -0.040 3.344
Fe W
3 1
Cartesian
-0.664 -1.061 2.244 Fe
-0.241 1.469 2.094 Fe
-2.326 0.448 0.995 Fe
0.000 0.000 0.000 W
```


# YFe5

Crystalline YFe5 at its relaxed geometry (r²SCAN, the Materials Project database).

Properties
The space group is P6/mmm.

POSCAR file:
```
YFe5
1.0
-0.117 -1.319 -4.968
0.336 -3.637 3.619
-3.908 -0.213 0.148
Y Fe
1 5
Cartesian
0.000 0.000 0.000 Y
0.185 -2.865 0.756 Fe
0.034 -2.092 -2.106 Fe
-2.012 -0.766 -2.410 Fe
-1.844 -2.585 -0.601 Fe
-1.786 -1.925 1.884 Fe
```


# YFe2

Crystalline YFe2 at its relaxed geometry (r²SCAN, the Materials Project database).

Properties
The space group is Fd-3m.

POSCAR file:
```
YFe2
1.0
-3.720 -0.249 -3.620
-3.034 -4.207 -0.323
-4.999 0.289 1.388
Y Fe
2 4
Cartesian
-10.284 -3.646 -2.236 Y
-1.469 -0.521 -0.319 Y
-4.360 0.020 -1.116 Fe
-4.017 -1.959 0.532 Fe
-5.876 -2.084 -1.278 Fe
-3.377 -2.228 -1.971 Fe
```


# YZrFe4

Crystalline YZrFe4 at its relaxed geometry (r²SCAN, the Materials Project database).

Properties
The space group is F-43m.

POSCAR file:
```
YZrFe4
1.0
0.000 3.614 3.614
3.614 0.000 3.614
3.614 3.614 0.000
Y Zr Fe
1 1 4
Cartesian
1.807 1.807 1.807 Y
3.614 0.000 3.614 Zr
2.710 2.710 4.517 Fe
2.710 4.517 2.710 Fe
4.517 2.710 2.710 Fe
4.517 4.517 4.517 Fe
```


no.,ρ (g cm⁻³),ΔE_f (meV/atom)
1,12.162,347.0
2,6.816,8.8
3,6.713,46.6
4,7.100,-79.2